{
  "formula": "NaAlSiO4",
  "functional": "PBE",
  "state": "relaxed",
  "magnetic_moment_mub_per_cell": 0.0,
  "formation_energy_ev_per_atom": -3.150,
  "space_group": "Pca2_1, No. 29",
  "relative_energy_mev_per_atom": 0,
  "piezo_max_c_m2": 0.09,
  "lattice_angstrom": [[10.4037, 0.0000, 0.0000], [0.0000, 5.2232, 0.0000], [0.0000, 0.0000, 14.1836]],
  "species": ["Na", "Na", "Na", "Na", "Na", "Na", "Na", "Na", "Al", "Al", "Al", "Al", "Al", "Al", "Al", "Al", "Si", "Si", "Si", "Si", "Si", "Si", "Si", "Si", "O", "O", "O", "O", "O", "O", "O", "O", "O", "O", "O", "O", "O", "O", "O", "O", "O", "O", "O", "O", "O", "O", "O", "O", "O", "O", "O", "O", "O", "O", "O", "O"],
  "frac_coords": [[0.0252, 0.0527, 0.0000], [0.2144, 0.5526, 0.7522], [0.2856, 0.5526, 0.2522], [0.4748, 0.0527, 0.5000], [0.5252, 0.9473, 0.0000], [0.7144, 0.4474, 0.7522], [0.7856, 0.4474, 0.2522], [0.9748, 0.9473, 0.5000], [0.0281, 0.9372, 0.2504], [0.2215, 0.5472, 0.0026], [0.2785, 0.5472, 0.5026], [0.4719, 0.9372, 0.7504], [0.5281, 0.0628, 0.2504], [0.7215, 0.4528, 0.0026], [0.7785, 0.4528, 0.5026], [0.9719, 0.0628, 0.7504], [0.0306, 0.4383, 0.3769], [0.2223, 0.0463, 0.6256], [0.2777, 0.0463, 0.1256], [0.4694, 0.4383, 0.8769], [0.5306, 0.5617, 0.3769], [0.7223, 0.9537, 0.6256], [0.7777, 0.9537, 0.1256], [0.9694, 0.5617, 0.8769], [0.9997, 0.1408, 0.3478], [0.0003, 0.8592, 0.8478], [0.0064, 0.3788, 0.7869], [0.0598, 0.4922, 0.9685], [0.0710, 0.9930, 0.6521], [0.1819, 0.4829, 0.4032], [0.1906, 0.9606, 0.2164], [0.2391, 0.8735, 0.0333], [0.2465, 0.3496, 0.6012], [0.2535, 0.3496, 0.1012], [0.2609, 0.8735, 0.5333], [0.3094, 0.9606, 0.7164], [0.3181, 0.4829, 0.9032], [0.4290, 0.9930, 0.1521], [0.4402, 0.4922, 0.4685], [0.4936, 0.3788, 0.2869], [0.5003, 0.1408, 0.8478], [0.4997, 0.8592, 0.3478], [0.5064, 0.6212, 0.7869], [0.5598, 0.5078, 0.9685], [0.5710, 0.0070, 0.6521], [0.6819, 0.5171, 0.4032], [0.6906, 0.0394, 0.2164], [0.7391, 0.1265, 0.0333], [0.7465, 0.6504, 0.6012], [0.7535, 0.6504, 0.1012], [0.7609, 0.1265, 0.5333], [0.8094, 0.0394, 0.7164], [0.8181, 0.5171, 0.9032], [0.9290, 0.0070, 0.1521], [0.9402, 0.5078, 0.4685], [0.9936, 0.6212, 0.2869]]
}